[1]
DFT (GGA-PBE) results for a geometry-optimized Mg6NbSn structure.

## Properties
formation energy: 0.0723 eV/atom

Unit cell a=5.133 b=6.039 c=11.056 alpha=90.00 beta=90.00 gamma=90.00
Positions (direct):
Mg1 0.000 0.261 0.083
Mg2 0.000 0.000 0.335
Mg3 0.500 0.752 0.918
Mg4 0.000 0.500 0.835
Mg5 0.500 0.248 0.918
Mg6 0.500 0.748 0.418
Mg7 0.500 0.252 0.418
Mg8 0.000 0.000 0.827
Mg9 0.000 0.739 0.083
Mg10 0.000 0.500 0.327
Mg11 0.000 0.761 0.583
Mg12 0.000 0.239 0.583
Nb1 0.500 0.500 0.169
Nb2 0.500 0.000 0.669
Sn1 0.500 0.000 0.167
Sn2 0.500 0.500 0.667

=====

[2]
DFT (GGA-PBE) results for a geometry-optimized Mg6NbSn structure.

## Properties
formation energy: 0.0736 eV/atom

Unit cell a=4.989 b=6.352 c=10.817 alpha=90.00 beta=90.00 gamma=90.00
Positions (direct):
Mg1 0.500 0.500 0.666
Mg2 0.000 0.255 0.085
Mg3 0.000 0.500 0.834
Mg4 0.000 0.755 0.585
Mg5 0.500 0.746 0.919
Mg6 0.500 0.254 0.919
Mg7 0.500 0.754 0.419
Mg8 0.000 0.000 0.334
Mg9 0.000 0.245 0.585
Mg10 0.000 0.745 0.085
Mg11 0.500 0.246 0.419
Mg12 0.500 0.000 0.166
Sn1 0.000 0.000 0.827
Sn2 0.000 0.500 0.327
Nb1 0.500 0.000 0.667
Nb2 0.500 0.500 0.167

=====

[3]
DFT (GGA-PBE) results for a geometry-optimized Mg14NbSn structure.

## Properties
SG: Amm2, No. 38
formation energy: 0.0309 eV/atom
crystal system: orthorhombic

Unit cell a=6.329 b=6.231 c=10.262 alpha=90.00 beta=90.00 gamma=119.49
Positions (direct):
Mg1 0.331 0.160 0.878
Mg2 0.166 0.833 0.625
Mg3 0.841 0.671 0.878
Mg4 0.331 0.671 0.878
Mg5 0.331 0.160 0.372
Mg6 0.832 0.166 0.872
Mg7 0.666 0.333 0.625
Mg8 0.667 0.832 0.125
Mg9 0.841 0.671 0.372
Mg10 0.167 0.333 0.625
Mg11 0.666 0.833 0.625
Mg12 0.331 0.671 0.372
Mg13 0.832 0.166 0.378
Mg14 0.667 0.335 0.125
Sn1 0.164 0.332 0.125
Nb1 0.165 0.833 0.125

=====

[4]
DFT (GGA-PBE) results for a geometry-optimized Mg14NbSn structure.

## Properties
SG: P-6m2, No. 187
formation energy: 0.0323 eV/atom
crystal system: hexagonal

Unit cell a=6.319 b=6.319 c=10.277 alpha=90.00 beta=90.00 gamma=120.00
Positions (direct):
Nb1 0.167 0.333 0.625
Mg1 0.165 0.833 0.125
Mg2 0.843 0.171 0.869
Mg3 0.169 0.834 0.625
Mg4 0.329 0.657 0.869
Mg5 0.666 0.834 0.625
Mg6 0.833 0.667 0.871
Mg7 0.666 0.331 0.625
Mg8 0.329 0.171 0.869
Mg9 0.329 0.171 0.381
Mg10 0.667 0.335 0.125
Mg11 0.667 0.833 0.125
Mg12 0.843 0.171 0.381
Mg13 0.833 0.667 0.379
Mg14 0.329 0.657 0.381
Sn1 0.167 0.333 0.125

=====

[5]
DFT (GGA-PBE) results for a geometry-optimized Mg14TiNb structure.

## Properties
SG: P-6m2, No. 187
formation energy: 0.1357 eV/atom
crystal system: hexagonal
energy above the most stable polymorph in this dataset: 3.4 kJ per mole of atoms

Unit cell a=6.345 b=6.345 c=9.993 alpha=90.00 beta=90.00 gamma=120.00
Positions (direct):
Mg1 0.169 0.834 0.125
Mg2 0.328 0.172 0.873
Mg3 0.666 0.331 0.125
Mg4 0.665 0.331 0.625
Mg5 0.843 0.172 0.873
Mg6 0.833 0.667 0.375
Mg7 0.169 0.835 0.625
Mg8 0.843 0.172 0.377
Mg9 0.328 0.172 0.377
Mg10 0.833 0.667 0.875
Mg11 0.328 0.657 0.873
Mg12 0.665 0.835 0.625
Mg13 0.328 0.657 0.377
Mg14 0.666 0.834 0.125
Nb1 0.167 0.333 0.625
Ti1 0.167 0.333 0.125

=====

[6]
DFT (GGA-PBE) results for a geometry-optimized Mg14TiNb structure.

## Properties
SG: Amm2, No. 38
formation energy: 0.1006 eV/atom
crystal system: orthorhombic
energy above the most stable polymorph in this dataset: 0.0 kJ per mole of atoms

Unit cell a=6.355 b=6.173 c=10.101 alpha=90.00 beta=90.00 gamma=119.05
Positions (direct):
Mg1 0.329 0.667 0.883
Mg2 0.166 0.833 0.625
Mg3 0.843 0.672 0.369
Mg4 0.167 0.333 0.625
Mg5 0.663 0.831 0.125
Mg6 0.841 0.170 0.371
Mg7 0.329 0.162 0.367
Mg8 0.329 0.162 0.883
Mg9 0.329 0.667 0.367
Mg10 0.663 0.332 0.125
Mg11 0.843 0.672 0.881
Mg12 0.665 0.333 0.625
Mg13 0.665 0.832 0.625
Mg14 0.841 0.170 0.879
Ti1 0.165 0.333 0.125
Nb1 0.162 0.831 0.125

=====

[7]
DFT (GGA-PBE) results for a geometry-optimized Mg14NbW structure.

## Properties
SG: Amm2, No. 38
formation energy: 0.1740 eV/atom
crystal system: orthorhombic
energy above the most stable polymorph in this dataset: 0.0 kJ per mole of atoms

Unit cell a=6.309 b=6.071 c=10.064 alpha=90.00 beta=90.00 gamma=118.76
Positions (direct):
Mg1 0.661 0.832 0.125
Mg2 0.847 0.174 0.372
Mg3 0.661 0.329 0.125
Mg4 0.663 0.831 0.625
Mg5 0.851 0.675 0.365
Mg6 0.165 0.833 0.625
Mg7 0.328 0.666 0.886
Mg8 0.167 0.333 0.625
Mg9 0.851 0.675 0.885
Mg10 0.847 0.174 0.878
Mg11 0.663 0.333 0.625
Mg12 0.328 0.161 0.364
Mg13 0.328 0.161 0.886
Mg14 0.328 0.666 0.364
Nb1 0.157 0.328 0.125
W1 0.157 0.829 0.125

=====

[8]
DFT (GGA-PBE) results for a geometry-optimized Mg14NbW structure.

## Properties
SG: P-6m2, No. 187
formation energy: 0.2363 eV/atom
crystal system: hexagonal
energy above the most stable polymorph in this dataset: 6.0 kJ per mole of atoms

Unit cell a=6.271 b=6.271 c=9.918 alpha=90.00 beta=90.00 gamma=120.00
Positions (direct):
Mg1 0.325 0.175 0.871
Mg2 0.666 0.834 0.625
Mg3 0.171 0.835 0.125
Mg4 0.833 0.667 0.877
Mg5 0.665 0.835 0.125
Mg6 0.325 0.650 0.871
Mg7 0.325 0.650 0.379
Mg8 0.168 0.834 0.625
Mg9 0.325 0.175 0.379
Mg10 0.850 0.175 0.871
Mg11 0.666 0.332 0.625
Mg12 0.833 0.667 0.373
Mg13 0.665 0.329 0.125
Mg14 0.850 0.175 0.379
Nb1 0.167 0.333 0.125
W1 0.167 0.333 0.625

=====

no.,total magnetization (Bohr magnetons per cell),V (Å³/cell),calculated total energy (eV/atom)
1,1.114,342.72,-2.892
2,1.392,342.78,-2.890
3,0.181,352.30,-2.251
4,0.000,355.37,-2.250
5,1.948,348.36,-2.389
6,1.284,346.40,-2.424
7,0.000,337.94,-2.667
8,1.629,337.81,-2.605